# 1
# Li2Fe2CuP3O12

A geometry-optimized Li2Fe2CuP3O12 structure (PBE+U, Materials Project).

E_tot: -6.63 eV per atom
E_form: -2.240 eV/atom

Unit cell a=8.4960 b=8.4960 c=8.5099 alpha=61.07 beta=61.07 gamma=61.37
Last column: nearest neighbours and their distance in Å.
Atoms (fractional coordinates):
P 0.5514 0.7523 0.1963  4 O 1.53-1.57
P 0.7496 0.5339 0.7141  4 O 1.51-1.56
P 0.0328 0.9672 0.0000  4 O 1.52-1.57
P 0.2477 0.4486 0.8037  4 O 1.53-1.57
P 0.9498 0.0502 0.5000  4 O 1.53-1.56
P 0.4661 0.2504 0.2859  4 O 1.51-1.56
Li 0.6435 0.3565 0.5000  6 O 2.10-2.34
Li 0.1494 0.2502 0.6003  4 O 2.16-2.35
Li 0.3504 0.6496 0.0000  6 O 2.18-2.43
Li 0.7498 0.8506 0.3997  4 O 2.16-2.35
O 0.2311 0.9433 0.8397  1 P 1.57
O 0.7998 0.4957 0.8803  1 P 1.51
O 0.5707 0.9177 0.0047  1 P 1.55
O 0.8737 0.9971 0.9430  1 P 1.52
O 0.5203 0.8064 0.3595  1 P 1.53
O 0.3887 0.6979 0.2260  1 P 1.53
O 0.7537 0.0744 0.6623  1 P 1.56
O 0.9256 0.2463 0.3377  1 P 1.56
O 0.6245 0.3033 0.2695  1 P 1.54
O 0.2697 0.4108 0.3079  1 P 1.56
O 0.4400 0.0899 0.4830  1 P 1.56
O 0.1936 0.4797 0.6405  1 P 1.53
O 0.9755 0.8912 0.4447  1 P 1.53
O 0.6967 0.3755 0.7305  1 P 1.54
O 0.4251 0.2648 0.8020  1 P 1.57
O 0.7352 0.5749 0.1980  1 P 1.57
O 0.1088 0.0245 0.5553  1 P 1.53
O 0.5892 0.7303 0.6921  1 P 1.56
O 0.3021 0.6113 0.7740  1 P 1.53
O 0.9101 0.5600 0.5170  1 P 1.56
O 0.0823 0.4293 0.9953  1 P 1.55
O 0.0029 0.1263 0.0570  1 P 1.52
O 0.5043 0.2002 0.1197  1 P 1.51
O 0.0567 0.7689 0.1603  1 P 1.57
Cu 0.5003 0.9923 0.7627  6 O 2.14-2.34
Cu 0.0077 0.4997 0.2373  6 O 2.14-2.34
Fe 0.3495 0.8533 0.6023  6 O 1.96-2.13
Fe 0.1467 0.6505 0.3977  6 O 1.96-2.13
Fe 0.8579 0.3563 0.1103  6 O 1.88-1.96
Fe 0.6437 0.1421 0.8897  6 O 1.88-1.96



# 2
# Li4TiFe3Cu2P6O24

A geometry-optimized Li4TiFe3Cu2P6O24 structure (PBE+U, Materials Project).

E_tot: -6.83 eV per atom
E_form: -2.399 eV/atom

Unit cell a=8.5758 b=8.6757 c=8.7280 alpha=61.26 beta=61.58 gamma=61.55
Last column: nearest neighbours and their distance in Å.
Atoms (fractional coordinates):
O 0.5367 0.3053 0.1063  1 P 1.53
O 0.0646 0.2654 0.9223  1 P 1.60
O 0.7403 0.0927 0.9226  1 P 1.54
O 0.2603 0.9167 0.0731  1 P 1.59
O 0.5385 0.4212 0.7745  1 P 1.56
O 0.1022 0.5317 0.3161  1 P 1.53
O 0.3129 0.1028 0.5328  1 P 1.52
O 0.6183 0.8096 0.9817  1 P 1.52
O 0.8255 0.9942 0.6105  1 P 1.52
O 0.4074 0.7595 0.5641  1 P 1.56
O 0.7602 0.5599 0.4110  1 P 1.55
O 0.2301 0.4323 0.5975  1 P 1.56
O 0.5958 0.2276 0.4404  1 P 1.57
O 0.0953 0.9230 0.7415  1 P 1.55
O 0.9163 0.0667 0.2635  1 P 1.60
O 0.9433 0.7305 0.0825  1 P 1.55
O 0.8705 0.4998 0.7161  1 P 1.53
O 0.3812 0.1906 0.0139  1 P 1.58
O 0.4394 0.5920 0.2246  1 P 1.57
O 0.1945 0.0080 0.3835  1 P 1.57
O 0.0248 0.6112 0.8154  1 P 1.54
O 0.4591 0.7065 0.8815  1 P 1.55
O 0.7023 0.8777 0.4880  1 P 1.53
O 0.0086 0.3781 0.2005  1 P 1.58
Fe 0.3509 0.3478 0.3514  6 O 2.02-2.21
Fe 0.6459 0.6424 0.6375  6 O 1.97-2.11
Fe 0.8542 0.8591 0.8547  6 O 1.93-2.07
Li 0.3437 0.1552 0.7160  2 O 2.01-2.03
Li 0.1560 0.7159 0.3443  3 O 2.00-2.22
Li 0.7156 0.3425 0.1568  2 O 1.98-2.09
Li 0.2543 0.6474 0.8467  5 O 2.10-2.32
Ti 0.1479 0.1476 0.1530  6 O 1.89-2.07
P 0.0423 0.4597 0.7588  4 O 1.53-1.60
P 0.2529 0.9531 0.5528  4 O 1.52-1.57
P 0.5540 0.2522 0.9538  4 O 1.53-1.58
P 0.9513 0.5526 0.2542  4 O 1.53-1.58
P 0.7564 0.0363 0.4591  4 O 1.52-1.60
P 0.4520 0.7533 0.0354  4 O 1.52-1.59
Cu 0.5188 0.4952 0.4860  5 O 2.12-2.35
Cu 0.9758 0.0135 0.9989  5 O 2.12-2.35